Here is a geometry-optimized MgMnTe4 structure from the Materials Project. Energies are from PBE.

```
12
Lattice="-4.9866 0.1957 4.9385 -3.3421 -5.2990 -3.1646 3.6438 -4.6142 3.8621" Properties=species:S:1:pos:R:3 pbc="T T T"
Te -0.2376 -4.6158 6.1207
Te 1.3307 -3.4356 2.5951
Te -2.9656 -3.6865 3.2576
Te -1.7193 -6.0310 2.3784
Te -3.2159 -7.2140 5.8331
Te -4.4473 -5.1017 -0.4847
Te -1.4690 -2.5035 -0.1971
Te -6.0156 -6.2819 3.0410
Mn 0.0000 0.0000 0.0000
Mn -4.1643 -2.5516 0.8869
Mg 0.1509 -4.9566 0.3487
Mg -0.6714 -2.2093 4.4003
```

Computed properties:
ΔH_f (0 K) in eV per formula unit: -3.63
Total energy in Ry/atom: -0.3097
Space-group type: P2_1/c



Here is a geometry-optimized MgMn3Te4 structure from the Materials Project. Energies are from PBE.

```
8
Lattice="4.5448 0.0000 0.0000 0.0000 4.5448 0.0000 0.0000 0.0000 12.7850" Properties=species:S:1:pos:R:3 pbc="T T T"
Te 2.2724 0.0000 4.7914
Te 2.2724 0.0000 11.1254
Te 0.0000 2.2724 1.6596
Te 0.0000 2.2724 7.9936
Mn 2.2724 2.2724 3.1994
Mn 0.0000 0.0000 6.3925
Mn 2.2724 2.2724 9.5856
Mg 0.0000 0.0000 0.0000
```

Computed properties:
ΔH_f (0 K) in eV per formula unit: -3.84
Total energy in Ry/atom: -0.4025
Space-group type: P-4m2



Here is a geometry-optimized Mg6TiMn structure from the Materials Project. Energies are from PBE.

```
16
Lattice="4.8638 0.0000 0.0000 0.0000 6.1424 0.0000 0.0000 0.0000 10.9894" Properties=species:S:1:pos:R:3 pbc="T T T"
Mg 0.0000 3.0712 9.1332
Mg 2.4319 1.5887 4.6135
Mg 2.4319 0.0000 1.8265
Mg 0.0000 4.5574 0.9043
Mg 0.0000 0.0000 3.6385
Mg 2.4319 4.6599 10.1082
Mg 0.0000 4.6561 6.3990
Mg 2.4319 3.0712 7.3212
Mg 0.0000 1.5849 0.9043
Mg 2.4319 4.5536 4.6135
Mg 0.0000 1.4862 6.3990
Mg 2.4319 1.4825 10.1082
Ti 2.4319 0.0000 7.5457
Ti 2.4319 3.0712 2.0510
Mn 0.0000 0.0000 8.9219
Mn 0.0000 3.0712 3.4272
```

Computed properties:
ΔH_f (0 K) in eV per formula unit: 1.20
Total energy in Ry/atom: -0.2339
Energy above the lowest structure with this stoichiometry in kJ/mol of atoms: 0.0